Entry 1:
# LiCrPO5 | Materials Project | PBE+U | optimized geometry
data_LiCrPO5
_chemical_formula_sum 'Li8 Cr8 P8 O40'
_symmetry_space_group_name_H-M 'P 1'
_symmetry_Int_Tables_number 1
_cell_length_a 6.2198
_cell_length_b 10.4558
_cell_length_c 12.5817
_cell_angle_alpha 90.00
_cell_angle_beta 90.00
_cell_angle_gamma 90.00
loop_
_symmetry_equiv_pos_as_xyz
'x,y,z'
loop_
_atom_site_label
_atom_site_fract_x
_atom_site_fract_y
_atom_site_fract_z
Li1 0.2820 0.8311 0.1629
Li2 0.3582 0.5726 0.4017
Li3 0.7820 0.3311 0.3371
Li4 0.1418 0.5726 0.9017
Li5 0.7180 0.3311 0.8371
Li6 0.6418 0.0726 0.5983
Li7 0.8582 0.0726 0.0983
Li8 0.2180 0.8311 0.6629
O1 0.9800 0.8781 0.7736
O2 0.6750 0.7762 0.1001
O3 0.5091 0.6538 0.5160
O4 0.8073 0.0324 0.3834
O5 0.3073 0.5324 0.1166
O6 0.9601 0.6349 0.2259
O7 0.6927 0.0324 0.8834
O8 0.3076 0.9871 0.8873
O9 0.4909 0.1538 0.4840
O10 0.9775 0.8908 0.2355
O11 0.6924 0.4871 0.1127
O12 0.9681 0.8922 0.9987
O13 0.5200 0.8781 0.2736
O14 0.1750 0.2762 0.3999
O15 0.0091 0.1538 0.9840
O16 0.5249 0.6216 0.2673
O17 0.4775 0.3908 0.2645
O18 0.1924 0.9871 0.3873
O19 0.8250 0.7762 0.6001
O20 0.0319 0.3922 0.0013
O21 0.3250 0.2762 0.8999
O22 0.0399 0.1349 0.7741
O23 0.8076 0.4871 0.6127
O24 0.9909 0.6538 0.0160
O25 0.5225 0.8908 0.7355
O26 0.1927 0.5324 0.6166
O27 0.9751 0.6216 0.7673
O28 0.0200 0.3781 0.2264
O29 0.3121 0.2480 0.0948
O30 0.0225 0.3908 0.7645
O31 0.4681 0.3922 0.5013
O32 0.5399 0.6349 0.7259
O33 0.5319 0.8922 0.4987
O34 0.4751 0.1216 0.7327
O35 0.6879 0.7480 0.9052
O36 0.0249 0.1216 0.2327
O37 0.4800 0.3781 0.7264
O38 0.1879 0.2480 0.5948
O39 0.4601 0.1349 0.2741
O40 0.8121 0.7480 0.4052
P1 0.1708 0.2674 0.9963
P2 0.0020 0.0073 0.3123
P3 0.9980 0.5073 0.6877
P4 0.4980 0.0073 0.8123
P5 0.8292 0.7674 0.0037
P6 0.6708 0.7674 0.5037
P7 0.5020 0.5073 0.1877
P8 0.3292 0.2674 0.4963
Cr1 0.2509 0.2581 0.7471
Cr2 0.5010 0.5085 0.6298
Cr3 0.7509 0.7581 0.7529
Cr4 0.0010 0.0085 0.8702
Cr5 0.2491 0.2581 0.2471
Cr6 0.9990 0.5085 0.1298
Cr7 0.7491 0.7581 0.2529
Cr8 0.4990 0.0085 0.3702
# * space-group type: Pna2_1 (33)
# * distance to the lowest polymorph of the same formula: 0.062 eV/atom
# * energy of formation: -2.390 eV/atom
# * size of the total moment: 2.00 μB per formula unit

=====

Entry 2:
# LiCr2P2O10 | Materials Project | PBE+U | optimized geometry
data_LiCr2P2O10
_chemical_formula_sum 'Li2 Cr4 P4 O20'
_symmetry_space_group_name_H-M 'P 1'
_symmetry_Int_Tables_number 1
_cell_length_a 6.7325
_cell_length_b 6.9741
_cell_length_c 8.0387
_cell_angle_alpha 89.96
_cell_angle_beta 90.67
_cell_angle_gamma 116.06
loop_
_symmetry_equiv_pos_as_xyz
'x,y,z'
loop_
_atom_site_label
_atom_site_fract_x
_atom_site_fract_y
_atom_site_fract_z
Cr1 0.7602 0.5026 0.2489
Cr2 0.2475 0.5022 0.7397
Cr3 0.2425 0.0029 0.7548
Cr4 0.7519 0.0008 0.2433
O1 0.6571 0.8908 0.4757
O2 0.2603 0.2584 0.8266
O3 0.9220 0.3589 0.7700
O4 0.4347 0.3716 0.2807
O5 0.5545 0.0858 0.8180
O6 0.3592 0.1273 0.5316
O7 0.0724 0.6339 0.2230
O8 0.7984 0.5980 0.4833
O9 0.7395 0.7522 0.1938
O10 0.9427 0.9120 0.6827
O11 0.1918 0.3892 0.5182
O12 0.4517 0.9171 0.1718
O13 0.0655 0.0903 0.3077
O14 0.7049 0.4029 0.0177
O15 0.5626 0.6240 0.7124
O16 0.8654 0.1355 0.0288
O17 0.2810 0.5852 0.9858
O18 0.7630 0.2486 0.3237
O19 0.2351 0.7414 0.6965
O20 0.1460 0.8813 0.9768
Li1 0.2217 0.2804 0.0724
Li2 0.6899 0.1843 0.5686
P1 0.2402 0.7560 0.0839
P2 0.2632 0.2429 0.4154
P3 0.7398 0.7546 0.5831
P4 0.7603 0.2474 0.9141
# * space-group type: P1 (1)
# * energy of formation: -2.307 eV/atom
# * size of the total moment: 3.00 μB per formula unit

=====

Entry 3:
# Li2CrP2O8 | Materials Project | PBE+U | optimized geometry
data_Li2CrP2O8
_chemical_formula_sum 'Li4 Cr2 P4 O16'
_symmetry_space_group_name_H-M 'P 1'
_symmetry_Int_Tables_number 1
_cell_length_a 4.9111
_cell_length_b 8.2411
_cell_length_c 8.6784
_cell_angle_alpha 114.78
_cell_angle_beta 103.73
_cell_angle_gamma 90.43
loop_
_symmetry_equiv_pos_as_xyz
'x,y,z'
loop_
_atom_site_label
_atom_site_fract_x
_atom_site_fract_y
_atom_site_fract_z
O1 0.9789 0.2770 0.5660
O2 0.4602 0.2872 0.7622
O3 0.0197 0.8360 0.8761
O4 0.8814 0.4849 0.1170
O5 0.5687 0.9699 0.8043
O6 0.4313 0.0301 0.1957
O7 0.4201 0.2544 0.0574
O8 0.5924 0.6425 0.6367
O9 0.9969 0.8152 0.1951
O10 0.1186 0.5151 0.8830
O11 0.0031 0.1848 0.8049
O12 0.5799 0.7456 0.9426
O13 0.0211 0.7230 0.4340
O14 0.9803 0.1640 0.1239
O15 0.5398 0.7128 0.2378
O16 0.4076 0.3575 0.3633
Li1 0.3826 0.6107 0.4097
Li2 0.8632 0.0887 0.3056
Li3 0.6174 0.3893 0.5903
Li4 0.1368 0.9113 0.6944
Cr1 0.7239 0.2319 0.9479
Cr2 0.2761 0.7681 0.0521
P1 0.6916 0.8003 0.8161
P2 0.3084 0.1997 0.1839
P3 0.1480 0.3234 0.7551
P4 0.8520 0.6766 0.2449
# * space-group type: P-1 (2)
# * distance to the lowest polymorph of the same formula: 0.000 eV/atom
# * energy of formation: -2.528 eV/atom
# * size of the total moment: 2.00 μB per formula unit

=====

Entry 4:
# LiCrPO5 | Materials Project | PBE+U | optimized geometry
data_LiCrPO5
_chemical_formula_sum 'Li8 Cr8 P8 O40'
_symmetry_space_group_name_H-M 'P 1'
_symmetry_Int_Tables_number 1
_cell_length_a 10.2983
_cell_length_b 8.5918
_cell_length_c 9.1372
_cell_angle_alpha 90.00
_cell_angle_beta 90.00
_cell_angle_gamma 90.00
loop_
_symmetry_equiv_pos_as_xyz
'x,y,z'
loop_
_atom_site_label
_atom_site_fract_x
_atom_site_fract_y
_atom_site_fract_z
O1 0.6002 0.5733 0.7172
O2 0.9909 0.7459 0.2529
O3 0.4909 0.2541 0.7471
O4 0.2141 0.9507 0.5357
O5 0.0044 0.2621 0.7359
O6 0.0344 0.0077 0.0603
O7 0.4680 0.5053 0.9426
O8 0.2438 0.1919 0.7401
O9 0.7310 0.5194 0.9803
O10 0.9437 0.0068 0.5581
O11 0.7686 0.0168 0.0254
O12 0.9680 0.4947 0.0574
O13 0.0546 0.4992 0.5473
O14 0.0732 0.9510 0.7980
O15 0.3690 0.2430 0.0175
O16 0.7895 0.5556 0.5349
O17 0.1314 0.7461 0.9814
O18 0.7141 0.0493 0.4643
O19 0.7497 0.3071 0.7452
O20 0.5344 0.9923 0.9397
O21 0.5044 0.7379 0.2641
O22 0.2895 0.4444 0.4651
O23 0.6324 0.7745 0.5328
O24 0.3653 0.7254 0.5311
O25 0.2497 0.6929 0.2548
O26 0.1324 0.2255 0.4672
O27 0.8653 0.2746 0.4689
O28 0.4223 0.4470 0.2024
O29 0.4063 0.9303 0.7123
O30 0.6314 0.2539 0.0186
O31 0.5546 0.5008 0.4527
O32 0.2686 0.9832 0.9746
O33 0.4437 0.9932 0.4419
O34 0.9223 0.5530 0.7976
O35 0.8690 0.7570 0.9825
O36 0.7438 0.8081 0.2599
O37 0.2310 0.4806 0.0197
O38 0.9063 0.0697 0.2877
O39 0.1002 0.4267 0.2828
O40 0.5732 0.0490 0.2020
P1 0.8699 0.5807 0.9542
P2 0.1289 0.9222 0.9532
P3 0.6449 0.5980 0.5568
P4 0.6289 0.0778 0.0468
P5 0.8564 0.0970 0.4471
P6 0.3564 0.9030 0.5529
P7 0.1449 0.4020 0.4432
P8 0.3699 0.4193 0.0458
Li1 0.6104 0.5337 0.1632
Li2 0.0021 0.2473 0.1812
Li3 0.9525 0.6965 0.4747
Li4 0.8828 0.0201 0.8343
Li5 0.1104 0.4663 0.8368
Li6 0.5021 0.7527 0.8188
Li7 0.4525 0.3035 0.5253
Li8 0.3828 0.9799 0.1657
Cr1 0.1155 0.6110 0.1532
Cr2 0.6125 0.8963 0.3586
Cr3 0.8924 0.3916 0.6457
Cr4 0.3897 0.1113 0.8422
Cr5 0.3924 0.6084 0.3543
Cr6 0.6155 0.3890 0.8468
Cr7 0.8897 0.8887 0.1578
Cr8 0.1125 0.1037 0.6414
# * space-group type: P2_1 (4)
# * distance to the lowest polymorph of the same formula: 0.040 eV/atom
# * energy of formation: -2.411 eV/atom
# * size of the total moment: 2.00 μB per formula unit